# 1
DFT (PBE) results for an optimized crystal structure of PrGe12Pt4.

Lattice parameters (Å, degrees): 7.5609 7.5609 7.5609 109.47 109.47 109.47
Closest atoms and distances in Å follow each position.
Element x y z (fractional)
Pr1 0.0000 0.0000 0.0000  12 Ge 3.36
Ge1 0.1515 0.3543 0.5058  2 Pt 2.52, 2 Ge 2.54-2.65
Ge2 0.1515 0.6457 0.7972  2 Pt 2.52, 2 Ge 2.54-2.65
Ge3 0.2028 0.8485 0.3543  2 Pt 2.52, 2 Ge 2.54-2.65
Ge4 0.3543 0.2028 0.8485  2 Pt 2.52, 2 Ge 2.54-2.65
Ge5 0.3543 0.5058 0.1515  2 Pt 2.52, 2 Ge 2.54-2.65
Ge6 0.4942 0.8485 0.6457  2 Pt 2.52, 2 Ge 2.54-2.65
Ge7 0.5058 0.1515 0.3543  2 Pt 2.52, 2 Ge 2.54-2.65
Ge8 0.6457 0.4942 0.8485  2 Pt 2.52, 2 Ge 2.54-2.65
Ge9 0.6457 0.7972 0.1515  2 Pt 2.52, 2 Ge 2.54-2.65
Ge10 0.7972 0.1515 0.6457  2 Pt 2.52, 2 Ge 2.54-2.65
Ge11 0.8485 0.3543 0.2028  2 Pt 2.52, 2 Ge 2.54-2.65
Ge12 0.8485 0.6457 0.4942  2 Pt 2.52, 2 Ge 2.54-2.65
Pt1 0.0000 0.0000 0.5000  6 Ge 2.52
Pt2 0.0000 0.5000 0.0000  6 Ge 2.52
Pt3 0.5000 0.0000 0.0000  6 Ge 2.52
Pt4 0.5000 0.5000 0.5000  6 Ge 2.52

Output
E ... -91.154 eV per cell

# 2
DFT (PBE) results for an optimized crystal structure of PrGePt.

Lattice parameters (Å, degrees): 4.4981 14.7802 7.7244 90.00 90.00 90.00
Closest atoms and distances in Å follow each position.
Element x y z (fractional)
Pr1 0.2500 0.0026 0.2086  6 Pt 3.03-3.25, 6 Ge 3.13-3.32
Pr2 0.2500 0.2500 0.2956  6 Ge 3.10-3.17, 6 Pt 3.31-3.32
Pr3 0.2500 0.4974 0.2086  6 Pt 3.03-3.25, 6 Ge 3.13-3.32
Pr4 0.2500 0.7500 0.2918  6 Pt 3.17-3.21, 6 Ge 3.25-3.29
Pr5 0.7500 0.2500 0.7082  6 Pt 3.17-3.21, 6 Ge 3.25-3.29
Pr6 0.7500 0.5026 0.7914  6 Pt 3.03-3.25, 6 Ge 3.13-3.32
Pr7 0.7500 0.7500 0.7044  6 Ge 3.10-3.17, 6 Pt 3.31-3.32
Pr8 0.7500 0.9974 0.7914  6 Pt 3.03-3.25, 6 Ge 3.13-3.32
Ge1 0.2500 0.1002 0.5890  3 Pt 2.61-2.63
Ge2 0.2500 0.3998 0.5890  3 Pt 2.61-2.63
Ge3 0.2500 0.6556 0.9122  3 Pt 2.60-2.68, 1 Ge 2.79
Ge4 0.2500 0.8444 0.9122  3 Pt 2.60-2.68, 1 Ge 2.79
Ge5 0.7500 0.1556 0.0878  3 Pt 2.60-2.68, 1 Ge 2.79
Ge6 0.7500 0.3444 0.0878  3 Pt 2.60-2.68, 1 Ge 2.79
Ge7 0.7500 0.6002 0.4110  3 Pt 2.61-2.63
Ge8 0.7500 0.8998 0.4110  3 Pt 2.61-2.63
Pt1 0.2500 0.1413 0.9201  3 Ge 2.60-2.63
Pt2 0.2500 0.3587 0.9201  3 Ge 2.60-2.63
Pt3 0.2500 0.5984 0.5826  3 Ge 2.61-2.68
Pt4 0.2500 0.9016 0.5826  3 Ge 2.61-2.68
Pt5 0.7500 0.0984 0.4174  3 Ge 2.61-2.68
Pt6 0.7500 0.4016 0.4174  3 Ge 2.61-2.68
Pt7 0.7500 0.6413 0.0799  3 Ge 2.60-2.63
Pt8 0.7500 0.8587 0.0799  3 Ge 2.60-2.63

Output
E ... -149.239 eV per cell